Below is a relaxed GdFe10Si2 crystal, with properties calculated at the GGA-PBE level.

Cell lengths 4.732, 6.361, 6.361 Å; angles 98.36, 111.84, 68.16 degrees
Fractional positions:
Fe (0.500, 0.000, 0.500)
Fe (0.000, 0.500, 0.000)
Fe (0.000, 0.000, 0.500)
Fe (0.000, 0.355, 0.355)
Fe (0.500, 0.789, 0.789)
Fe (0.500, 0.500, 0.000)
Fe (0.000, 0.645, 0.645)
Fe (0.639, 0.361, 0.639)
Fe (0.500, 0.211, 0.211)
Fe (0.361, 0.639, 0.361)
Si (0.263, 0.237, 0.763)
Si (0.737, 0.763, 0.237)
Gd (0.000, 0.000, 0.000)

As for the corrected total energy (MP2020 scheme): -8.649 eV/atom. Its total energy is -8.6599 eV per atom. For the energy relative to the elements, the calculation gives -2.81 eV/f.u. As for the space group: Immm (71).

=====

Below is a relaxed Gd2Fe5Si8 crystal, with properties calculated at the GGA-PBE level.

Cell lengths 3.881, 3.881, 16.527 Å; angles 90.00, 90.00, 120.00 degrees
Fractional positions:
Si (0.333, 0.667, 0.042)
Si (0.333, 0.667, 0.449)
Si (0.000, 0.000, 0.642)
Si (0.000, 0.000, 0.358)
Si (0.667, 0.333, 0.551)
Si (0.000, 0.000, 0.872)
Si (0.000, 0.000, 0.128)
Si (0.667, 0.333, 0.958)
Fe (0.333, 0.667, 0.595)
Fe (0.667, 0.333, 0.099)
Fe (0.333, 0.667, 0.901)
Fe (0.667, 0.333, 0.405)
Fe (0.000, 0.000, 0.500)
Gd (0.333, 0.667, 0.246)
Gd (0.667, 0.333, 0.754)

As for the corrected total energy (MP2020 scheme): -8.113 eV/atom. Its total energy is -8.1509 eV per atom. For the energy relative to the elements, the calculation gives -7.79 eV/f.u. As for the space group: P-3m1 (164).

=====

Below is a relaxed GdV2Fe10 crystal, with properties calculated at the GGA-PBE level.

Cell lengths 4.706, 6.436, 6.436 Å; angles 97.26, 111.45, 68.55 degrees
Fractional positions:
Fe (0.500, 0.000, 0.500)
Fe (0.726, 0.774, 0.226)
Fe (0.500, 0.228, 0.228)
Fe (0.500, 0.772, 0.772)
Fe (0.000, 0.500, 0.000)
Fe (0.500, 0.500, 0.000)
Fe (0.000, 0.000, 0.500)
Fe (0.274, 0.226, 0.774)
Fe (0.360, 0.640, 0.360)
Fe (0.640, 0.360, 0.640)
V (0.000, 0.641, 0.641)
V (0.000, 0.359, 0.359)
Gd (0.000, 0.000, 0.000)

Its total energy is -9.0438 eV per atom. For the energy relative to the elements, the calculation gives -0.63 eV/f.u. As for the space group: Immm (71).

=====

Below is a relaxed FeGe crystal, with properties calculated at the GGA-PBE level.

Cell lengths 4.671, 4.671, 4.671 Å; angles 90.00, 90.00, 90.00 degrees
Fractional positions:
Fe (0.136, 0.136, 0.136)
Fe (0.864, 0.636, 0.364)
Fe (0.636, 0.364, 0.864)
Fe (0.364, 0.864, 0.636)
Ge (0.342, 0.658, 0.158)
Ge (0.158, 0.342, 0.658)
Ge (0.842, 0.842, 0.842)
Ge (0.658, 0.158, 0.342)

Its total energy is -6.6418 eV per atom. For the largest piezoelectric modulus, the calculation gives 0.8 C/m2. For the energy relative to the elements, the calculation gives -0.19 eV/f.u. As for the space group: P2_13 (198).

=====

Below is a relaxed Fe7Ge4 crystal, with properties calculated at the GGA-PBE level.

Cell lengths 8.063, 8.063, 4.967 Å; angles 90.00, 90.00, 120.00 degrees
Fractional positions:
Ge (0.667, 0.333, 0.750)
Ge (0.810, 0.190, 0.250)
Ge (0.333, 0.667, 0.250)
Ge (0.380, 0.190, 0.250)
Ge (0.190, 0.380, 0.750)
Ge (0.810, 0.620, 0.250)
Ge (0.620, 0.810, 0.750)
Ge (0.190, 0.810, 0.750)
Fe (0.000, 0.000, 0.000)
Fe (0.841, 0.159, 0.750)
Fe (0.841, 0.681, 0.750)
Fe (0.500, 0.500, 0.500)
Fe (0.000, 0.500, 0.000)
Fe (0.500, 0.000, 0.000)
Fe (0.681, 0.841, 0.250)
Fe (0.159, 0.319, 0.250)
Fe (0.319, 0.159, 0.750)
Fe (0.500, 0.500, 0.000)
Fe (0.000, 0.500, 0.500)
Fe (0.500, 0.000, 0.500)
Fe (0.000, 0.000, 0.500)
Fe (0.159, 0.841, 0.250)

The offset from the most stable computed form comes out at 0 meV/atom. Its total energy is -7.1473 eV per atom. For the energy relative to the elements, the calculation gives -0.84 eV/f.u. As for the space group: P6_3/mmc (194).

=====

Below is a relaxed Fe13Ge3 crystal, with properties calculated at the GGA-PBE level.

Cell lengths 5.729, 5.729, 5.729 Å; angles 90.00, 90.00, 90.00 degrees
Fractional positions:
Fe (0.248, 0.248, 0.248)
Fe (0.248, 0.752, 0.248)
Fe (0.500, 0.500, 0.500)
Fe (0.248, 0.752, 0.752)
Fe (0.752, 0.752, 0.752)
Fe (0.248, 0.248, 0.752)
Fe (0.000, 0.000, 0.500)
Fe (0.000, 0.500, 0.000)
Fe (0.752, 0.248, 0.248)
Fe (0.000, 0.000, 0.000)
Fe (0.500, 0.000, 0.000)
Fe (0.752, 0.752, 0.248)
Fe (0.752, 0.248, 0.752)
Ge (0.500, 0.000, 0.500)
Ge (0.500, 0.500, 0.000)
Ge (0.000, 0.500, 0.500)

Its total energy is -7.8273 eV per atom. For the energy relative to the elements, the calculation gives -1.26 eV/f.u. As for the space group: Pm-3m (221).

=====

Below is a relaxed FeGe crystal, with properties calculated at the GGA-PBE level.

Cell lengths 6.254, 6.254, 4.892 Å; angles 76.70, 76.70, 36.55 degrees
Fractional positions:
Ge (0.184, 0.184, 0.156)
Ge (0.570, 0.570, 0.700)
Ge (0.430, 0.430, 0.300)
Ge (0.816, 0.816, 0.844)
Fe (0.205, 0.205, 0.640)
Fe (0.000, 0.000, 0.000)
Fe (0.000, 0.000, 0.500)
Fe (0.795, 0.795, 0.360)

Its total energy is -6.6488 eV per atom. For the energy relative to the elements, the calculation gives -0.20 eV/f.u. As for the space group: C2/m (12).

=====

Below is a relaxed Fe2Ge crystal, with properties calculated at the GGA-PBE level.

Cell lengths 4.133, 4.133, 5.009 Å; angles 90.00, 90.00, 120.00 degrees
Fractional positions:
Fe (0.333, 0.667, 0.250)
Fe (0.000, 0.000, 0.000)
Fe (0.667, 0.333, 0.750)
Fe (0.000, 0.000, 0.500)
Ge (0.333, 0.667, 0.750)
Ge (0.667, 0.333, 0.250)

Its total energy is -7.2219 eV per atom. For the energy relative to the elements, the calculation gives -0.10 eV/f.u. As for the space group: P6_3/mmc (194).